DFT (PBE-GGA) results for crystalline PrGaPt at its relaxed geometry.

abc: 7.181 4.525 7.958
angles: 90.00 90.00 90.00
Atoms (fractional coordinates):
Pr  0.028  0.250  0.190
Pr  0.472  0.750  0.690
Pr  0.528  0.250  0.310
Pr  0.972  0.750  0.810
Ga  0.157  0.250  0.568
Ga  0.343  0.750  0.068
Ga  0.657  0.250  0.932
Ga  0.843  0.750  0.432
Pt  0.220  0.750  0.392
Pt  0.280  0.250  0.892
Pt  0.720  0.750  0.108
Pt  0.780  0.250  0.608

Calculated values
space-group type: Pnma, No. 62
energy relative to the elements: -1.003 eV/atom



DFT (PBE-GGA) results for crystalline AcBiAu2 at its relaxed geometry.

abc: 5.333 5.333 5.333
angles: 60.00 60.00 60.00
Atoms (fractional coordinates):
Ac  0.000  0.000  0.000
Bi  0.500  0.500  0.500
Au  0.250  0.250  0.250
Au  0.750  0.750  0.750

Calculated values
space-group type: Fm-3m, No. 225
energy relative to the elements: -0.660 eV/atom



DFT (PBE-GGA) results for crystalline LaBi3O8 at its relaxed geometry.

abc: 3.792 6.891 6.891
angles: 66.85 90.00 90.00
Atoms (fractional coordinates):
La  0.000  0.000  0.000
Bi  0.000  0.484  0.484
Bi  0.500  0.013  0.490
Bi  0.500  0.490  0.013
O  0.000  0.139  0.616
O  0.000  0.204  0.204
O  0.000  0.616  0.139
O  0.000  0.663  0.663
O  0.500  0.290  0.835
O  0.500  0.392  0.392
O  0.500  0.835  0.290
O  0.500  0.838  0.838

Calculated values
space-group type: Amm2, No. 38
energy relative to the elements: -1.724 eV/atom



DFT (PBE-GGA) results for crystalline Y2Zn17 at its relaxed geometry.

abc: 6.803 6.803 6.803
angles: 82.52 82.52 82.52
Atoms (fractional coordinates):
Y  0.165  0.165  0.165
Y  0.835  0.835  0.835
Zn  0.000  0.500  0.500
Zn  0.148  0.148  0.662
Zn  0.148  0.662  0.148
Zn  0.203  0.500  0.797
Zn  0.203  0.797  0.500
Zn  0.338  0.852  0.852
Zn  0.400  0.400  0.400
Zn  0.500  0.000  0.500
Zn  0.500  0.203  0.797
Zn  0.500  0.500  0.000
Zn  0.500  0.797  0.203
Zn  0.600  0.600  0.600
Zn  0.662  0.148  0.148
Zn  0.797  0.203  0.500
Zn  0.797  0.500  0.203
Zn  0.852  0.338  0.852
Zn  0.852  0.852  0.338

Calculated values
space-group type: R-3m, No. 166
energy relative to the elements: -0.249 eV/atom



DFT (PBE-GGA) results for crystalline Cd3Cl2O2 at its relaxed geometry.

abc: 6.547 6.831 6.769
angles: 90.00 116.13 90.00
Atoms (fractional coordinates):
Cd  0.000  0.000  0.000
Cd  0.000  0.500  0.500
Cd  0.412  0.127  0.770
Cd  0.412  0.373  0.270
Cd  0.588  0.627  0.730
Cd  0.588  0.873  0.230
Cl  0.191  0.635  0.935
Cl  0.191  0.865  0.435
Cl  0.809  0.135  0.565
Cl  0.809  0.365  0.065
O  0.331  0.113  0.063
O  0.331  0.387  0.563
O  0.669  0.613  0.437
O  0.669  0.887  0.937

Calculated values
space-group type: P2_1/c, No. 14
energy relative to the elements: -1.260 eV/atom



DFT (PBE-GGA) results for crystalline BaH2O2 at its relaxed geometry.

abc: 6.891 8.100 11.003
angles: 90.00 122.71 90.00
Atoms (fractional coordinates):
Ba  0.032  0.026  0.327
Ba  0.032  0.474  0.827
Ba  0.346  0.631  0.598
Ba  0.346  0.869  0.098
Ba  0.654  0.131  0.902
Ba  0.654  0.369  0.402
Ba  0.968  0.526  0.173
Ba  0.968  0.974  0.673
H  0.202  0.167  0.975
H  0.202  0.333  0.475
H  0.250  0.191  0.185
H  0.250  0.309  0.685
H  0.441  0.733  0.397
H  0.441  0.767  0.897
H  0.465  0.035  0.616
H  0.465  0.465  0.116
H  0.535  0.535  0.884
H  0.535  0.965  0.384
H  0.559  0.233  0.103
H  0.559  0.267  0.603
H  0.750  0.691  0.315
H  0.750  0.809  0.815
H  0.798  0.667  0.525
H  0.798  0.833  0.025
O  0.100  0.159  0.101
O  0.100  0.341  0.601
O  0.273  0.155  0.917
O  0.273  0.345  0.417
O  0.288  0.722  0.824
O  0.288  0.778  0.324
O  0.362  0.536  0.129
O  0.362  0.964  0.629
O  0.638  0.036  0.371
O  0.638  0.464  0.871
O  0.712  0.222  0.676
O  0.712  0.278  0.176
O  0.727  0.655  0.583
O  0.727  0.845  0.083
O  0.900  0.659  0.399
O  0.900  0.841  0.899

Calculated values
space-group type: P2_1/c, No. 14
energy relative to the elements: -2.034 eV/atom



DFT (PBE-GGA) results for crystalline K4Ti3S14 at its relaxed geometry.

abc: 11.397 11.397 13.268
angles: 111.52 111.52 41.66
Atoms (fractional coordinates):
K  0.121  0.476  0.387
K  0.169  0.690  0.853
K  0.310  0.831  0.647
K  0.476  0.121  0.887
K  0.524  0.879  0.113
K  0.690  0.169  0.353
K  0.831  0.310  0.147
K  0.879  0.524  0.613
Ti  0.087  0.578  0.084
Ti  0.263  0.737  0.250
Ti  0.422  0.913  0.416
Ti  0.578  0.087  0.584
Ti  0.737  0.263  0.750
Ti  0.913  0.422  0.916
S  0.020  0.841  0.081
S  0.066  0.744  0.291
S  0.069  0.488  0.898
S  0.100  0.193  0.398
S  0.159  0.980  0.419
S  0.193  0.100  0.898
S  0.256  0.934  0.209
S  0.307  0.617  0.396
S  0.310  0.345  0.665
S  0.345  0.310  0.165
S  0.383  0.693  0.104
S  0.399  0.429  0.131
S  0.429  0.399  0.631
S  0.488  0.069  0.398
S  0.512  0.931  0.602
S  0.571  0.601  0.369
S  0.601  0.571  0.869
S  0.617  0.307  0.896
S  0.655  0.690  0.835
S  0.690  0.655  0.335
S  0.693  0.383  0.604
S  0.744  0.066  0.791
S  0.807  0.900  0.102
S  0.841  0.020  0.581
S  0.900  0.807  0.602
S  0.931  0.512  0.102
S  0.934  0.256  0.709
S  0.980  0.159  0.919

Calculated values
space-group type: C2/c, No. 15
energy relative to the elements: -1.331 eV/atom



DFT (PBE-GGA) results for crystalline ZrHg3 at its relaxed geometry.

abc: 4.459 4.459 4.459
angles: 90.00 90.00 90.00
Atoms (fractional coordinates):
Zr  0.000  0.000  0.000
Hg  0.000  0.500  0.500
Hg  0.500  0.000  0.500
Hg  0.500  0.500  0.000

Calculated values
space-group type: Pm-3m, No. 221
energy relative to the elements: -0.066 eV/atom



DFT (PBE-GGA) results for crystalline Lu2Si3Pd at its relaxed geometry.

abc: 3.867 4.122 6.989
angles: 90.00 90.00 90.00
Atoms (fractional coordinates):
Lu  0.000  0.000  0.000
Lu  0.000  0.500  0.488
Si  0.500  0.000  0.326
Si  0.500  0.500  0.159
Si  0.500  0.500  0.827
Pd  0.500  0.000  0.661

Calculated values
space-group type: Pmm2, No. 25
energy relative to the elements: -0.788 eV/atom



DFT (PBE-GGA) results for crystalline Na3LaAs2O8 at its relaxed geometry.

abc: 5.983 5.983 7.461
angles: 90.00 90.00 120.00
Atoms (fractional coordinates):
Na  0.000  0.000  0.000
Na  0.333  0.667  0.703
Na  0.667  0.333  0.297
La  0.000  0.000  0.500
As  0.333  0.667  0.215
As  0.667  0.333  0.785
O  0.179  0.358  0.305
O  0.179  0.821  0.305
O  0.333  0.667  0.991
O  0.358  0.179  0.695
O  0.642  0.821  0.305
O  0.667  0.333  0.009
O  0.821  0.179  0.695
O  0.821  0.642  0.695

Calculated values
space-group type: P-3m1, No. 164
energy relative to the elements: -2.294 eV/atom



DFT (PBE-GGA) results for crystalline Na3Ca2Al2PS5O24 at its relaxed geometry.

abc: 8.804 8.842 22.333
angles: 89.90 89.77 60.31
Atoms (fractional coordinates):
Na  0.000  0.000  0.000
Na  0.009  0.984  0.500
Na  0.033  0.307  0.586
Na  0.303  0.368  0.166
Na  0.343  0.336  0.666
Na  0.380  0.002  0.745
Na  0.623  0.995  0.253
Na  0.684  0.648  0.338
Na  0.697  0.634  0.838
Ca  0.318  0.353  0.319
Ca  0.326  0.340  0.820
Ca  0.333  0.334  0.012
Ca  0.338  0.327  0.509
Ca  0.672  0.658  0.692
Ca  0.675  0.656  0.191
Al  0.005  0.991  0.147
Al  0.005  0.992  0.351
Al  0.010  0.999  0.648
Al  0.652  0.681  0.489
Al  0.668  0.665  0.988
Al  0.999  0.006  0.852
P  0.004  0.272  0.751
P  0.008  0.724  0.250
P  0.364  0.957  0.588
S  0.000  0.335  0.420
S  0.004  0.664  0.919
S  0.267  0.723  0.752
S  0.271  0.006  0.250
S  0.336  0.661  0.418
S  0.339  0.002  0.916
S  0.364  0.684  0.084
S  0.660  0.335  0.918
S  0.661  0.004  0.415
S  0.676  0.365  0.583
S  0.681  0.955  0.086
S  0.727  0.005  0.751
S  0.731  0.267  0.252
S  0.953  0.683  0.583
S  0.956  0.358  0.084
O  0.006  0.822  0.192
O  0.009  0.176  0.691
O  0.009  0.825  0.306
O  0.015  0.161  0.806
O  0.073  0.552  0.865
O  0.083  0.371  0.369
O  0.106  0.296  0.475
O  0.120  0.592  0.970
O  0.131  0.532  0.573
O  0.134  0.330  0.075
O  0.169  0.815  0.807
O  0.170  0.542  0.247
O  0.174  0.285  0.749
O  0.174  0.813  0.696
O  0.175  0.011  0.306
O  0.176  0.012  0.195
O  0.178  0.969  0.590
O  0.184  0.841  0.407
O  0.184  0.975  0.907
O  0.191  0.852  0.087
O  0.291  0.547  0.750
O  0.292  0.591  0.470
O  0.297  0.122  0.966
O  0.299  0.158  0.250
O  0.328  0.145  0.578
O  0.332  0.537  0.076
O  0.377  0.550  0.365
O  0.378  0.068  0.861
O  0.438  0.718  0.756
O  0.445  0.846  0.253
O  0.458  0.891  0.648
O  0.460  0.660  0.139
O  0.463  0.698  0.031
O  0.471  0.836  0.535
O  0.493  0.680  0.430
O  0.495  0.829  0.930
O  0.526  0.340  0.575
O  0.533  0.131  0.076
O  0.549  0.374  0.865
O  0.552  0.164  0.749
O  0.556  0.074  0.360
O  0.558  0.277  0.251
O  0.583  0.121  0.466
O  0.587  0.296  0.971
O  0.656  0.457  0.640
O  0.656  0.889  0.143
O  0.678  0.830  0.428
O  0.681  0.492  0.930
O  0.698  0.835  0.035
O  0.700  0.463  0.532
O  0.704  0.851  0.754
O  0.711  0.442  0.255
O  0.820  0.003  0.806
O  0.822  0.175  0.196
O  0.823  0.003  0.695
O  0.824  0.492  0.430
O  0.827  0.174  0.306
O  0.828  0.680  0.932
O  0.837  0.715  0.255
O  0.839  0.182  0.908
O  0.840  0.450  0.756
O  0.841  0.700  0.530
O  0.841  0.979  0.407
O  0.842  0.457  0.031
O  0.843  0.191  0.585
O  0.848  0.963  0.087
O  0.886  0.454  0.139
O  0.886  0.645  0.637
O  0.961  0.847  0.588
O  0.963  0.185  0.087
O  0.976  0.843  0.907
O  0.978  0.180  0.408

Calculated values
space-group type: P1, No. 1
energy relative to the elements: -2.480 eV/atom